# SiO2

A relaxed structure of SiO2 (r2SCAN, Materials Project). Values from VASP.

The structure in Quantum ESPRESSO input format:
```
&SYSTEM
  ibrav = 0, nat = 12, ntyp = 2
/
ATOMIC_SPECIES
Si 28.09 Si.upf
O 16.00 O.upf
CELL_PARAMETERS angstrom
5.460 -4.219 0.000
5.460 4.219 0.000
-2.055 0.000 4.651
ATOMIC_POSITIONS crystal
Si 0.051 0.257 0.360
Si 0.257 0.051 0.860
Si 0.743 0.949 0.140
Si 0.949 0.743 0.640
O 0.000 0.500 0.500
O 0.144 0.221 0.092
O 0.161 0.839 0.750
O 0.221 0.144 0.592
O 0.500 0.000 0.000
O 0.779 0.856 0.408
O 0.839 0.161 0.250
O 0.856 0.779 0.908
```

Properties
magnetization: 0.00 Bohr magnetons per cell
DFT formation energy: -3018 meV/atom
E_tot: -0.365 hartree per atom